Compound: Rb2SnO3
Source: Materials Project
Functional: PBE
Structure: relaxed

Results
Total energy (eV/atom): -5.049
Piezoelectric modulus e_max (C/m2): 1.59

Geometry as POSCAR:
```
Rb2SnO3
1.0
5.4888 -3.7666 0.0000
5.4888 3.7666 0.0000
0.0000 0.0000 5.8730
Rb Sn O
4 2 6
Cartesian
1.7766 1.0847 0.0000
1.7766 -1.0847 2.9365
9.2010 1.0847 0.0000
9.2010 -1.0847 2.9365
5.4888 0.6570 5.7712
5.4888 -0.6570 2.8347
5.4888 2.6057 5.5759
4.1335 0.0835 1.3996
4.1335 -0.0835 4.3361
6.8441 0.0835 1.3996
6.8441 -0.0835 4.3361
5.4888 -2.6057 2.6394
```

---

Compound: Na2UO4
Source: Materials Project
Functional: PBE
Structure: relaxed

Results
Total energy (eV/atom): -7.429
Total magnetization (μB/f.u.): 0.00

Geometry as POSCAR:
```
Na2UO4
1.0
5.9775 0.0000 0.0000
0.0000 12.2028 0.0000
0.0000 0.0000 5.9291
Na U O
8 4 16
Cartesian
0.1732 1.9170 0.1578
0.1732 4.1843 3.1224
2.8156 1.9170 3.1224
2.8156 4.1843 0.1578
3.1620 8.0184 5.7713
3.1620 10.2857 2.8067
5.8043 8.0184 2.8067
5.8043 10.2857 5.7713
0.0000 0.0000 2.9646
0.0000 6.1014 0.0000
2.9888 0.0000 0.0000
2.9888 6.1014 2.9646
0.4108 1.8915 2.8043
0.4108 4.2099 5.7688
1.1312 6.4382 4.1052
1.1312 11.8660 1.1407
1.8576 6.4382 1.1407
1.8576 11.8660 4.1052
2.5780 1.8915 5.7688
2.5780 4.2099 2.8043
3.3995 7.9929 3.1248
3.3995 10.3113 0.1603
4.1200 0.3368 1.8239
4.1200 5.7646 4.7884
4.8463 0.3368 4.7884
4.8463 5.7646 1.8239
5.5668 7.9929 0.1603
5.5668 10.3113 3.1248
```

---

Compound: LiSiBiO4
Source: Materials Project
Functional: PBE
Structure: relaxed

Results
Total energy (eV/atom): -6.543
Total magnetization (μB/f.u.): 0.00

Geometry as POSCAR:
```
LiSiBiO4
1.0
9.0588 0.0000 0.0000
0.0000 7.0985 0.0000
0.0000 0.0000 5.7746
Li Si Bi O
4 4 4 16
Cartesian
0.0000 0.0000 0.0000
0.0000 3.5492 0.0000
4.5294 0.0000 2.8873
4.5294 3.5492 2.8873
1.6090 1.7746 2.3998
2.9203 5.3239 5.2871
6.1384 1.7746 0.4875
7.4497 5.3239 3.3748
1.4129 5.3239 2.1204
3.1165 1.7746 5.0077
5.9422 5.3239 0.7669
7.6459 1.7746 3.6542
0.8619 1.7746 3.9142
1.2104 0.4546 1.5330
1.2104 3.0947 1.5330
1.3050 5.3239 5.7060
3.2244 1.7746 2.8187
3.3190 4.0038 4.4203
3.3190 6.6439 4.4203
3.6675 5.3239 1.0269
5.3913 1.7746 4.7476
5.7398 0.4546 1.3543
5.7398 3.0947 1.3543
5.8344 5.3239 2.9559
7.7538 1.7746 0.0686
7.8484 4.0038 4.2416
7.8484 6.6439 4.2416
8.1969 5.3239 1.8604
```

---

Compound: Ni4B3
Source: Materials Project
Functional: PBE
Structure: relaxed

Results
Total energy (eV/atom): -6.444

Geometry as POSCAR:
```
Ni4B3
1.0
3.1888 -2.4409 0.0000
3.1888 2.4409 0.0000
-1.6703 0.0000 7.6214
Ni B
8 6
Cartesian
2.0459 1.2336 3.9100
1.5300 0.3617 1.6166
1.8263 1.2336 7.5222
0.6949 -0.3617 5.4273
4.0125 0.3617 2.1941
2.8811 -1.2336 0.0993
3.1773 -0.3617 6.0048
2.6614 -1.2336 3.7114
2.7713 2.0863 1.9054
-0.0819 0.3837 7.1765
0.7533 -0.3837 3.3657
3.9541 0.3837 4.2557
4.7892 -0.3837 0.4450
1.9361 -2.0863 5.7161
```

---

Compound: Li10SnP2O12
Source: Materials Project
Functional: PBE
Structure: relaxed

Results
Total energy (eV/atom): -5.850
Total magnetization (μB/f.u.): 0.00

Geometry as POSCAR:
```
Li10SnP2O12
1.0
6.8368 0.0000 0.0000
-0.0851 7.5114 0.0000
-0.0531 -0.0174 10.9952
Li Sn P O
20 2 4 24
Cartesian
0.0000 0.0000 0.0000
-0.0579 3.6664 8.5070
1.2289 4.9879 2.5082
1.2734 1.0157 5.8910
1.4036 1.6051 8.7626
1.4572 0.9546 2.3173
1.4131 5.1600 9.7641
1.9545 3.9469 5.3401
2.6204 6.2966 7.2745
2.7553 6.4188 1.4920
3.0732 2.9970 10.8882
4.3717 1.0141 6.8405
4.4271 2.0376 4.6964
4.8405 0.6609 1.8004
4.7642 4.9995 9.4850
4.8359 5.4455 1.4090
4.8827 1.7538 9.1915
4.9213 5.1467 6.3762
5.6182 5.0570 3.6196
6.6089 2.7778 3.2429
3.1451 6.7412 4.3212
6.5995 3.0939 0.3785
3.1407 3.2388 2.5392
3.0686 7.0560 10.0795
6.4533 2.9906 6.0715
6.4795 6.9685 8.0805
0.9340 2.8226 6.9025
0.9531 7.2363 7.3128
1.1799 3.2394 10.0249
1.6466 6.7373 3.0311
1.7319 6.8962 10.8663
1.8358 3.2988 3.4065
3.0629 4.4100 1.4959
3.1497 0.9016 5.4048
3.1805 1.8948 1.7528
3.1203 5.8433 9.0861
3.1511 5.3319 5.7101
3.2079 0.8872 9.3054
4.2951 6.9091 0.1148
4.4002 3.3822 3.4302
4.6287 6.6084 3.0086
4.9451 3.2964 10.2182
5.2306 2.9342 7.0511
5.2422 6.9381 7.1495
6.3671 1.8414 5.0253
6.4234 0.6033 9.1445
6.4616 4.5124 1.7511
6.4847 4.3646 5.3372
6.6241 1.4205 1.4481
6.5421 5.5799 8.8242
```

---

Compound: Pr3Sn13Rh4
Source: Materials Project
Functional: PBE
Structure: relaxed

Results
Total energy (eV/atom): -5.370

Geometry as POSCAR:
```
Pr3Sn13Rh4
1.0
9.8455 0.0000 0.0000
0.0000 9.8455 0.0000
0.0000 0.0000 9.8455
Pr Sn Rh
6 26 8
Cartesian
0.0000 2.4614 4.9228
0.0000 7.3841 4.9228
2.4614 4.9228 0.0000
4.9228 0.0000 2.4614
4.9228 0.0000 7.3841
7.3841 4.9228 0.0000
0.0000 0.0000 0.0000
0.0000 3.0242 1.5103
0.0000 3.0242 8.3352
0.0000 6.8214 1.5103
0.0000 6.8214 8.3352
1.5103 0.0000 3.0242
1.5103 0.0000 6.8214
1.8986 4.9228 3.4124
1.8986 4.9228 6.4331
3.0242 1.5103 0.0000
3.0242 8.3352 0.0000
3.4124 1.8986 4.9228
3.4124 7.9469 4.9228
4.9228 3.4124 1.8986
4.9228 3.4124 7.9469
4.9228 4.9228 4.9228
4.9228 6.4331 1.8986
4.9228 6.4331 7.9469
6.4331 1.8986 4.9228
6.4331 7.9469 4.9228
6.8214 1.5103 0.0000
6.8214 8.3352 0.0000
7.9469 4.9228 3.4124
7.9469 4.9228 6.4331
8.3352 0.0000 3.0242
8.3352 0.0000 6.8214
2.4614 2.4614 2.4614
2.4614 2.4614 7.3841
2.4614 7.3841 2.4614
2.4614 7.3841 7.3841
7.3841 2.4614 2.4614
7.3841 2.4614 7.3841
7.3841 7.3841 2.4614
7.3841 7.3841 7.3841
```

---

Compound: CeAlPt
Source: Materials Project
Functional: PBE
Structure: relaxed

Results
Total energy (eV/atom): -6.268
Total magnetization (μB/f.u.): 0.72

Geometry as POSCAR:
```
CeAlPt
1.0
7.1384 0.0000 0.0000
0.0000 4.3885 0.0000
0.0000 0.0000 7.9215
Ce Al Pt
4 4 4
Cartesian
0.1772 1.0971 1.4698
3.3920 3.2914 5.4305
3.7464 1.0971 2.4909
6.9612 3.2914 6.4517
1.0610 1.0971 4.5025
2.5082 3.2914 0.5418
4.6302 1.0971 7.3797
6.0774 3.2914 3.4190
1.5883 3.2914 3.1102
1.9809 1.0971 7.0710
5.1575 3.2914 0.8505
5.5501 1.0971 4.8112
```

---

Compound: Na2CuH12S2O14
Source: Materials Project
Functional: PBE
Structure: relaxed

Results
Total energy (eV/atom): -5.251
Total magnetization (μB/f.u.): 1.00

Geometry as POSCAR:
```
Na2CuH12S2O14
1.0
5.9189 0.0000 0.0000
0.0000 12.1939 0.0000
-1.9865 0.0000 8.7043
Na Cu H S O
4 2 24 4 28
Cartesian
0.2442 1.6244 3.2143
-0.7490 4.4725 7.5664
4.6814 7.7214 1.1379
3.6881 10.5694 5.4900
2.9594 0.0000 0.0000
1.9662 6.0969 4.3522
-0.5632 1.0980 6.9274
0.4300 4.9990 2.5752
-0.1889 6.8538 5.2835
0.8044 11.4370 0.9313
0.1126 7.8596 4.0504
-0.8806 10.4312 8.4026
0.9195 1.5543 6.5777
1.9128 4.5426 2.2255
2.1001 7.4209 1.8506
1.1069 10.8699 6.2027
2.4789 2.3853 1.3897
1.4856 3.7116 5.7418
2.4468 8.4823 2.9625
1.4535 9.8085 7.3146
2.8255 1.3239 2.5016
1.8323 4.7730 6.8538
2.0196 7.6513 6.4788
3.0129 10.6395 2.1266
4.8130 1.7626 0.3017
3.8197 4.3343 4.6539
3.1280 0.7569 7.7730
4.1213 5.3400 3.4208
3.5024 7.1949 6.1291
4.4956 11.0959 1.7769
-0.4820 7.7775 7.9130
0.5113 10.5133 3.5608
3.4211 1.6806 5.1435
4.4144 4.4164 0.7913
-1.2885 9.0172 7.7280
-0.2952 9.2736 3.3758
-0.8273 6.8195 6.8037
0.1660 11.4713 2.4515
0.2116 6.9122 4.3633
1.2049 11.3786 0.0111
1.1493 7.1260 0.4965
0.1561 11.1648 4.8487
0.2927 1.3986 7.3358
1.2859 4.6984 2.9837
2.1948 1.5114 1.7554
1.2015 4.5855 6.1076
0.9835 8.0912 7.8711
1.9768 10.1996 3.5189
1.9556 1.9943 5.1854
2.9488 4.1026 0.8332
2.7309 7.6084 2.5968
1.7376 10.6824 6.9489
2.6464 7.4955 5.7206
3.6397 10.7953 1.3685
3.7763 1.0291 3.8556
2.7830 5.0678 8.2078
2.7275 0.8153 8.6932
3.7207 5.2817 4.3410
3.7664 0.7225 6.2528
4.7596 5.3744 1.9006
4.2276 2.9202 5.3285
5.2209 3.1767 0.9763
```

---

Compound: SmCuSi
Source: Materials Project
Functional: PBE
Structure: relaxed

Results
Total energy (eV/atom): -5.360
Total magnetization (μB/f.u.): 0.00

Geometry as POSCAR:
```
SmCuSi
1.0
4.0980 0.0000 0.0000
-2.0490 3.5490 0.0000
0.0000 0.0000 4.0890
Sm Cu Si
1 1 1
Cartesian
0.0000 0.0000 0.0000
0.0000 2.3660 2.0445
2.0490 1.1830 2.0445
```

---

Compound: TlSbS2
Source: Materials Project
Functional: PBE
Structure: relaxed

Results
Total energy (eV/atom): -4.015
Total magnetization (μB/f.u.): 0.00

Geometry as POSCAR:
```
TlSbS2
1.0
6.3509 0.0000 0.0000
0.1350 6.4757 0.0000
2.4906 2.8083 5.9439
Tl Sb S
2 2 4
Cartesian
1.5121 3.2193 1.5236
7.4645 6.0647 4.4203
4.4817 2.6648 4.4645
4.4948 6.6192 1.4794
2.0274 6.4693 1.2464
4.2727 6.7199 4.3392
4.7039 2.5641 1.6047
6.9492 2.8147 4.6975
```

---

Compound: TiZn2O4
Source: Materials Project
Functional: PBE
Structure: relaxed

Results
Total energy (eV/atom): -6.160
Total magnetization (μB/f.u.): 0.00

Geometry as POSCAR:
```
TiZn2O4
1.0
6.0744 0.0000 0.0000
0.0000 6.0744 0.0000
0.0000 0.0000 12.8344
Ti Zn O
4 8 16
Cartesian
0.0000 2.1038 0.0000
0.0000 3.9706 6.4172
2.1038 0.0000 3.2086
3.9706 0.0000 9.6258
0.3058 3.0372 3.2086
0.8417 0.8417 8.0215
0.8417 5.2328 11.2301
3.0372 0.3058 0.0000
3.0372 5.7686 6.4172
5.2328 0.8417 4.8129
5.2328 5.2328 1.6043
5.7686 3.0372 9.6258
0.4434 2.7690 7.7521
0.4434 3.3054 11.4995
0.7357 1.2250 3.2239
0.7357 4.8494 3.1933
1.2250 0.7357 12.8191
1.2250 5.3387 6.4325
2.7690 0.4434 8.2909
2.7690 5.6310 10.9607
3.3054 0.4434 4.5435
3.3054 5.6310 1.8737
4.8494 0.7357 0.0153
4.8494 5.3387 6.4019
5.3387 1.2250 9.6105
5.3387 4.8494 9.6411
5.6310 2.7690 5.0823
5.6310 3.3054 1.3349
```

---

Compound: Mg14CrB
Source: Materials Project
Functional: PBE
Structure: relaxed

Results
Total energy (eV/atom): -2.180
Total magnetization (μB/f.u.): 4.59

Geometry as POSCAR:
```
Mg14CrB
1.0
10.0070 0.0000 0.0000
0.0000 3.1251 5.3568
0.0000 -3.1251 5.3568
Mg Cr B
14 1 1
Cartesian
0.0000 0.0000 0.0000
0.0000 -1.5463 2.7004
0.0000 0.0000 5.3396
0.0000 1.5463 2.7004
2.5113 0.0000 7.1358
2.6369 0.0000 1.7408
2.7063 -1.6048 4.5294
2.7063 1.6048 4.5294
5.0035 -1.5355 7.9996
5.0035 1.5355 7.9996
7.3007 -1.6048 4.5294
7.3007 1.6048 4.5294
7.3701 0.0000 1.7408
7.4958 0.0000 7.1358
5.0035 0.0000 5.4019
5.0035 0.0000 0.0148
```

---

Compound: Mg15Sn
Source: Materials Project
Functional: PBE
Structure: relaxed

Results
Total energy (eV/atom): -1.770

Geometry as POSCAR:
```
Mg15Sn
1.0
6.3682 0.0000 0.0000
-3.1841 5.5150 0.0000
0.0000 0.0000 10.4726
Mg Sn
15 1
Cartesian
0.0000 0.0000 0.0000
-1.5919 2.7576 0.0000
0.0000 1.8403 2.6179
0.0000 1.8403 7.8547
-1.5903 4.5948 2.6179
-1.5903 4.5948 7.8547
0.0000 5.5148 0.0000
3.1841 0.0031 5.2363
1.5918 2.7576 0.0000
1.5947 2.7560 5.2363
1.5903 4.5948 2.6179
1.5903 4.5948 7.8547
3.1841 1.8383 2.6181
3.1841 1.8383 7.8546
4.7735 2.7560 5.2363
0.0000 0.0000 5.2363
```

---

Compound: Sb2O5
Source: Materials Project
Functional: PBE
Structure: relaxed

Results
Total energy (eV/atom): -5.748
Total magnetization (μB/f.u.): 0.00

Geometry as POSCAR:
```
Sb2O5
1.0
5.8349 0.0000 0.0000
0.0000 10.2510 0.0000
0.0000 0.0000 3.7170
Sb O
4 10
Cartesian
1.3003 1.4323 0.0000
1.6171 6.5578 0.0000
4.2177 3.6932 0.0000
4.5346 8.8187 0.0000
0.0000 0.0000 0.0000
0.2873 3.0583 0.0000
1.1944 6.1192 1.8585
1.7230 0.9937 1.8585
2.6302 8.1838 0.0000
2.9174 5.1255 0.0000
3.2047 2.0672 0.0000
4.1119 9.2574 1.8585
4.6404 4.1318 1.8585
5.5476 7.1928 0.0000
```

---

| no. | DFT formation energy (eV/f.u.) |
| --- | --- |
| 1 | -11.54 |
| 2 | -21.02 |
| 3 | -17.53 |
| 4 | -1.95 |
| 5 | -61.19 |
| 6 | -11.47 |
| 7 | -3.05 |
| 8 | -47.41 |
| 9 | -1.77 |
| 10 | -2.30 |
| 11 | -15.66 |
| 12 | 3.85 |
| 13 | -0.31 |
| 14 | -10.67 |